# NaZr2Sn2P5SO24 | the Materials Project | PBE | relaxed
# Calculated formation energy: -2.735 eV per atom
# Spin magnetization: 0.0 μB per cell
# Raw total energy: -7.304 eV/atom
data_NaZr2Sn2P5SO24
_cell_length_a 8.828
_cell_length_b 8.836
_cell_length_c 23.137
_cell_angle_alpha 89.91
_cell_angle_beta 89.90
_cell_angle_gamma 60.08
_space_group_name_H-M_alt 'P 1'
_space_group_IT_number 1
loop_
_space_group_symop_operation_xyz
'x,y,z'
loop_
_atom_site_label
_atom_site_type_symbol
_atom_site_fract_x
_atom_site_fract_y
_atom_site_fract_z
Na1 Na 0.000 0.000 0.000
Na2 Na 0.001 0.993 0.491
Na3 Na 0.334 0.326 0.331
Zr1 Zr 0.003 0.986 0.853
Zr2 Zr 0.329 0.331 0.680
Zr3 Zr 0.340 0.317 0.974
Zr4 Zr 0.661 0.658 0.022
Zr5 Zr 0.674 0.657 0.810
Zr6 Zr 0.999 0.987 0.638
Sn1 Sn 0.000 0.999 0.149
Sn2 Sn 0.003 0.992 0.349
Sn3 Sn 0.334 0.325 0.475
Sn4 Sn 0.341 0.320 0.185
Sn5 Sn 0.666 0.659 0.310
Sn6 Sn 0.669 0.659 0.515
P1 P 0.002 0.287 0.248
P2 P 0.003 0.702 0.746
P3 P 0.041 0.330 0.577
P4 P 0.292 0.700 0.247
P5 P 0.325 0.041 0.082
P6 P 0.342 0.612 0.576
P7 P 0.377 0.949 0.413
P8 P 0.380 0.659 0.914
P9 P 0.618 0.034 0.577
P10 P 0.628 0.314 0.082
P11 P 0.669 0.367 0.413
P12 P 0.671 0.942 0.915
P13 P 0.713 0.990 0.248
P14 P 0.954 0.370 0.915
P15 P 0.959 0.659 0.413
S1 S 0.048 0.619 0.082
S2 S 0.290 0.993 0.746
S3 S 0.712 0.280 0.746
O1 O 0.022 0.167 0.587
O2 O 0.028 0.791 0.800
O3 O 0.030 0.796 0.087
O4 O 0.042 0.166 0.301
O5 O 0.125 0.513 0.135
O6 O 0.129 0.355 0.631
O7 O 0.134 0.354 0.923
O8 O 0.143 0.493 0.418
O9 O 0.157 0.538 0.030
O10 O 0.159 0.289 0.523
O11 O 0.161 0.018 0.087
O12 O 0.165 0.522 0.738
O13 O 0.168 0.305 0.241
O14 O 0.173 0.780 0.301
O15 O 0.177 0.796 0.585
O16 O 0.181 0.020 0.798
O17 O 0.192 0.967 0.408
O18 O 0.197 0.825 0.908
O19 O 0.205 0.969 0.695
O20 O 0.212 0.810 0.191
O21 O 0.294 0.157 0.029
O22 O 0.300 0.535 0.523
O23 O 0.308 0.517 0.241
O24 O 0.311 0.147 0.739
O25 O 0.354 0.122 0.137
O26 O 0.358 0.500 0.923
O27 O 0.359 0.133 0.418
O28 O 0.365 0.502 0.631
O29 O 0.455 0.839 0.468
O30 O 0.463 0.835 0.754
O31 O 0.465 0.690 0.968
O32 O 0.472 0.682 0.255
O33 O 0.487 0.635 0.859
O34 O 0.488 0.861 0.073
O35 O 0.489 0.868 0.359
O36 O 0.503 0.349 0.418
O37 O 0.505 0.629 0.570
O38 O 0.508 0.124 0.921
O39 O 0.510 0.121 0.632
O40 O 0.515 0.351 0.137
O41 O 0.528 0.157 0.243
O42 O 0.539 0.295 0.739
O43 O 0.541 0.288 0.028
O44 O 0.542 0.152 0.523
O45 O 0.637 0.854 0.571
O46 O 0.638 0.480 0.359
O47 O 0.647 0.859 0.860
O48 O 0.651 0.475 0.073
O49 O 0.691 0.455 0.753
O50 O 0.695 0.827 0.256
O51 O 0.700 0.446 0.468
O52 O 0.701 0.829 0.968
O53 O 0.794 0.028 0.301
O54 O 0.796 0.173 0.798
O55 O 0.803 0.015 0.585
O56 O 0.811 0.147 0.088
O57 O 0.821 0.960 0.192
O58 O 0.822 0.199 0.695
O59 O 0.832 0.967 0.908
O60 O 0.835 0.183 0.407
O61 O 0.839 0.455 0.968
O62 O 0.839 0.466 0.257
O63 O 0.840 0.685 0.754
O64 O 0.849 0.691 0.468
O65 O 0.862 0.493 0.570
O66 O 0.870 0.478 0.860
O67 O 0.873 0.638 0.074
O68 O 0.876 0.629 0.359
O69 O 0.968 0.211 0.192
O70 O 0.976 0.187 0.907
O71 O 0.976 0.819 0.693
O72 O 0.978 0.825 0.407

# PrZnAgP2 | the Materials Project | PBE | relaxed
# Calculated formation energy: -0.665 eV per atom
# Spin magnetization: 0.0 μB per cell
# Raw total energy: -4.605 eV/atom
data_PrZnAgP2
_cell_length_a 4.2010
_cell_length_b 4.2010
_cell_length_c 6.8373
_cell_angle_alpha 90.00
_cell_angle_beta 90.00
_cell_angle_gamma 120.00
_space_group_name_H-M_alt 'P 3 m 1'
_space_group_IT_number 156
loop_
_space_group_symop_operation_xyz
'x,y,z'
'-y,x-y,z'
'-x+y,-x,z'
'-y,-x,z'
'-x+y,y,z'
'x,x-y,z'
loop_
_atom_site_label
_atom_site_type_symbol
_atom_site_fract_x
_atom_site_fract_y
_atom_site_fract_z
Pr1 Pr 0.0000 0.0000 0.0000
Zn1 Zn 0.6667 0.3333 0.3876
Ag1 Ag 0.3333 0.6667 0.6512
P1 P 0.3333 0.6667 0.2671
P2 P 0.6667 0.3333 0.7637

# BaMgSi | the Materials Project | PBE | relaxed
# Calculated formation energy: -0.363 eV per atom
# Raw total energy: -3.368 eV/atom
data_BaMgSi
_cell_length_a 4.659
_cell_length_b 4.659
_cell_length_c 7.912
_cell_angle_alpha 90.00
_cell_angle_beta 90.00
_cell_angle_gamma 90.00
_space_group_name_H-M_alt 'P 4/n m m'
_space_group_IT_number 129
loop_
_space_group_symop_operation_xyz
'x,y,z'
'-x,-y,-z'
'-y+1/2,x,z'
'y+1/2,-x,-z'
'-x+1/2,-y+1/2,z'
'x+1/2,y+1/2,-z'
'y,-x+1/2,z'
'-y,x+1/2,-z'
'x+1/2,-y,-z'
'-x+1/2,y,z'
'-y,-x,-z'
'y,x,z'
'-x,y+1/2,-z'
'x,-y+1/2,z'
'y+1/2,x+1/2,-z'
'-y+1/2,-x+1/2,z'
loop_
_atom_site_label
_atom_site_type_symbol
_atom_site_fract_x
_atom_site_fract_y
_atom_site_fract_z
Ba1 Ba 0.250 0.250 0.163
Mg1 Mg 0.250 0.750 0.500
Si1 Si 0.250 0.250 0.704

# Na3MgGe3P5SO24 | the Materials Project | PBE | relaxed
# Calculated formation energy: -2.443 eV per atom
# Spin magnetization: 0.0 μB per cell
# Raw total energy: -6.576 eV/atom
data_Na3MgGe3P5SO24
_cell_length_a 8.467
_cell_length_b 8.495
_cell_length_c 21.882
_cell_angle_alpha 89.41
_cell_angle_beta 89.59
_cell_angle_gamma 60.12
_space_group_name_H-M_alt 'P 1'
_space_group_IT_number 1
loop_
_space_group_symop_operation_xyz
'x,y,z'
loop_
_atom_site_label
_atom_site_type_symbol
_atom_site_fract_x
_atom_site_fract_y
_atom_site_fract_z
Na1 Na 0.000 0.000 0.000
Na2 Na 0.002 0.990 0.498
Na3 Na 0.032 0.665 0.916
Na4 Na 0.328 0.326 0.335
Na5 Na 0.336 0.319 0.834
Na6 Na 0.640 0.352 0.253
Na7 Na 0.666 0.669 0.667
Na8 Na 0.667 0.666 0.167
Na9 Na 0.699 0.331 0.582
Mg1 Mg 0.005 0.994 0.855
Mg2 Mg 0.666 0.662 0.523
Mg3 Mg 0.997 0.995 0.353
Ge1 Ge 0.001 0.991 0.149
Ge2 Ge 0.013 0.979 0.649
Ge3 Ge 0.325 0.325 0.687
Ge4 Ge 0.330 0.325 0.186
Ge5 Ge 0.337 0.322 0.982
Ge6 Ge 0.339 0.328 0.484
Ge7 Ge 0.664 0.659 0.316
Ge8 Ge 0.664 0.671 0.817
Ge9 Ge 0.666 0.658 0.022
P1 P 0.002 0.699 0.752
P2 P 0.006 0.281 0.251
P3 P 0.045 0.616 0.084
P4 P 0.050 0.323 0.585
P5 P 0.286 0.704 0.251
P6 P 0.292 0.993 0.752
P7 P 0.327 0.615 0.586
P8 P 0.333 0.038 0.085
P9 P 0.386 0.656 0.920
P10 P 0.621 0.037 0.588
P11 P 0.623 0.325 0.085
P12 P 0.660 0.951 0.920
P13 P 0.667 0.367 0.421
P14 P 0.709 0.989 0.251
P15 P 0.951 0.372 0.920
S1 S 0.377 0.951 0.419
S2 S 0.708 0.285 0.751
S3 S 0.958 0.657 0.419
O1 O 0.027 0.805 0.092
O2 O 0.028 0.150 0.593
O3 O 0.035 0.774 0.810
O4 O 0.040 0.171 0.308
O5 O 0.128 0.494 0.141
O6 O 0.131 0.358 0.643
O7 O 0.142 0.362 0.926
O8 O 0.142 0.486 0.424
O9 O 0.154 0.803 0.592
O10 O 0.161 0.020 0.093
O11 O 0.162 0.535 0.026
O12 O 0.172 0.283 0.527
O13 O 0.173 0.305 0.241
O14 O 0.173 0.509 0.742
O15 O 0.176 0.778 0.308
O16 O 0.177 0.032 0.807
O17 O 0.196 0.818 0.915
O18 O 0.198 0.969 0.412
O19 O 0.209 0.822 0.192
O20 O 0.211 0.955 0.693
O21 O 0.289 0.535 0.528
O22 O 0.294 0.158 0.027
O23 O 0.316 0.162 0.742
O24 O 0.317 0.508 0.242
O25 O 0.360 0.136 0.424
O26 O 0.365 0.482 0.926
O27 O 0.369 0.489 0.643
O28 O 0.371 0.119 0.142
O29 O 0.460 0.842 0.473
O30 O 0.469 0.690 0.977
O31 O 0.484 0.677 0.257
O32 O 0.485 0.354 0.425
O33 O 0.485 0.819 0.757
O34 O 0.487 0.139 0.927
O35 O 0.493 0.875 0.362
O36 O 0.496 0.633 0.581
O37 O 0.503 0.127 0.644
O38 O 0.504 0.848 0.078
O39 O 0.505 0.617 0.861
O40 O 0.506 0.362 0.143
O41 O 0.518 0.163 0.241
O42 O 0.523 0.304 0.744
O43 O 0.539 0.288 0.028
O44 O 0.545 0.164 0.529
O45 O 0.622 0.872 0.862
O46 O 0.627 0.489 0.359
O47 O 0.641 0.497 0.078
O48 O 0.642 0.853 0.581
O49 O 0.688 0.819 0.259
O50 O 0.690 0.454 0.477
O51 O 0.690 0.468 0.756
O52 O 0.702 0.825 0.977
O53 O 0.781 0.036 0.306
O54 O 0.786 0.173 0.805
O55 O 0.811 0.028 0.594
O56 O 0.813 0.154 0.092
O57 O 0.819 0.209 0.694
O58 O 0.828 0.678 0.757
O59 O 0.828 0.953 0.192
O60 O 0.829 0.181 0.413
O61 O 0.829 0.967 0.913
O62 O 0.830 0.475 0.257
O63 O 0.835 0.460 0.978
O64 O 0.848 0.685 0.473
O65 O 0.854 0.634 0.078
O66 O 0.861 0.485 0.580
O67 O 0.873 0.500 0.862
O68 O 0.880 0.622 0.362
O69 O 0.956 0.205 0.194
O70 O 0.961 0.822 0.694
O71 O 0.971 0.188 0.914
O72 O 0.981 0.815 0.411

# CePr3Fe34 | the Materials Project | PBE | relaxed
# Calculated formation energy: 0.047 eV per atom
# Spin magnetization: 157.5 μB per cell
# Raw total energy: -8.065 eV/atom
data_CePr3Fe34
_cell_length_a 9.699
_cell_length_b 8.581
_cell_length_c 12.944
_cell_angle_alpha 90.00
_cell_angle_beta 99.38
_cell_angle_gamma 90.00
_space_group_name_H-M_alt 'C 1 m 1'
_space_group_IT_number 8
loop_
_space_group_symop_operation_xyz
'x,y,z'
'x,-y,z'
'x+1/2,y+1/2,z'
'x+1/2,-y+1/2,z'
loop_
_atom_site_label
_atom_site_type_symbol
_atom_site_fract_x
_atom_site_fract_y
_atom_site_fract_z
Ce1 Ce 0.000 0.000 0.000
Pr1 Pr 0.314 0.000 0.843
Pr2 Pr 0.315 0.000 0.342
Pr3 Pr 0.499 0.500 0.500
Fe1 Fe 0.013 0.355 0.027
Fe2 Fe 0.013 0.356 0.527
Fe3 Fe 0.061 0.500 0.219
Fe4 Fe 0.061 0.500 0.720
Fe5 Fe 0.063 0.251 0.843
Fe6 Fe 0.063 0.253 0.342
Fe7 Fe 0.156 0.210 0.171
Fe8 Fe 0.157 0.212 0.672
Fe9 Fe 0.157 0.500 0.421
Fe10 Fe 0.157 0.500 0.922
Fe11 Fe 0.251 0.252 0.001
Fe12 Fe 0.251 0.253 0.501
Fe13 Fe 0.253 0.500 0.623
Fe14 Fe 0.254 0.500 0.123
Fe15 Fe 0.301 0.356 0.315
Fe16 Fe 0.302 0.356 0.817
Fe17 Fe 0.314 0.000 0.094
Fe18 Fe 0.316 0.000 0.595
Fe19 Fe 0.407 0.250 0.171
Fe20 Fe 0.407 0.250 0.672
Fe21 Fe 0.498 0.500 0.247
Fe22 Fe 0.499 0.500 0.749

# BaBr2O | the Materials Project | PBE | relaxed
# Calculated formation energy: -1.705 eV per atom
# Spin magnetization: 0.0 μB per cell
# Raw total energy: -4.069 eV/atom
# Energy relative to the lowest polymorph listed for this composition: 0.0000 eV/atom
data_BaBr2O
_cell_length_a 9.031
_cell_length_b 4.778
_cell_length_c 10.887
_cell_angle_alpha 90.00
_cell_angle_beta 90.00
_cell_angle_gamma 90.00
_space_group_name_H-M_alt 'P n m a'
_space_group_IT_number 62
loop_
_space_group_symop_operation_xyz
'x,y,z'
'-x,-y,-z'
'-x+1/2,-y,z+1/2'
'x+1/2,y,-z+1/2'
'x+1/2,-y+1/2,-z+1/2'
'-x+1/2,y+1/2,z+1/2'
'-x,y+1/2,-z'
'x,-y+1/2,z'
loop_
_atom_site_label
_atom_site_type_symbol
_atom_site_fract_x
_atom_site_fract_y
_atom_site_fract_z
Ba1 Ba 0.231 0.250 0.109
Br1 Br 0.051 0.750 0.321
Br2 Br 0.132 0.750 0.901
O1 O 0.148 0.250 0.653